1.
Below is a relaxed KHfNi crystal, with properties calculated at the GGA-PBE level.

a = 6.4925 Å, b = 6.4925 Å, c = 6.4925 Å
α = 90.00°, β = 90.00°, γ = 90.00°
Positions (direct):
K (0.0000, 0.0000, 0.0000)
K (0.0000, 0.5000, 0.5000)
K (0.5000, 0.0000, 0.5000)
K (0.5000, 0.5000, 0.0000)
Hf (0.2500, 0.2500, 0.7500)
Hf (0.2500, 0.7500, 0.2500)
Hf (0.7500, 0.2500, 0.2500)
Hf (0.7500, 0.7500, 0.7500)
Ni (0.2500, 0.2500, 0.2500)
Ni (0.2500, 0.7500, 0.7500)
Ni (0.7500, 0.2500, 0.7500)
Ni (0.7500, 0.7500, 0.2500)

total moment: 0.00 μB per formula unit
uncorrected energy: -43.557 eV per cell


2.
Below is a relaxed WSeS crystal, with properties calculated at the GGA-PBE level.

a = 3.2543 Å, b = 3.2543 Å, c = 36.8940 Å
α = 90.00°, β = 90.00°, γ = 120.00°
Positions (direct):
W (0.3333, 0.6667, 0.0939)
W (0.3333, 0.6667, 0.7182)
W (0.6667, 0.3333, 0.2818)
W (0.6667, 0.3333, 0.9061)
Se (0.3333, 0.6667, 0.2356)
Se (0.3333, 0.6667, 0.3281)
Se (0.6667, 0.3333, 0.6719)
Se (0.6667, 0.3333, 0.7644)
S (0.3333, 0.6667, 0.8641)
S (0.3333, 0.6667, 0.9480)
S (0.6667, 0.3333, 0.0520)
S (0.6667, 0.3333, 0.1359)

total moment: 0.00 μB per formula unit
MP2020-corrected energy: -92.46 eV/cell


3.
Below is a relaxed AlCu3Se6 crystal, with properties calculated at the GGA-PBE level.

a = 16.0292 Å, b = 16.0292 Å, c = 16.0292 Å
α = 160.82°, β = 160.82°, γ = 27.26°
Positions (direct):
Al (0.0000, 0.0000, 0.0000)
Al (0.7500, 0.2500, 0.5000)
Cu (0.1657, 0.1657, 0.0000)
Cu (0.2500, 0.7500, 0.5000)
Cu (0.5000, 0.5000, 0.0000)
Cu (0.5843, 0.0843, 0.5000)
Cu (0.8343, 0.8343, 0.0000)
Cu (0.9157, 0.4157, 0.5000)
Se (0.0757, 0.0719, 0.5536)
Se (0.1388, 0.6250, 0.0138)
Se (0.2317, 0.1781, 0.5038)
Se (0.2721, 0.7683, 0.9464)
Se (0.3750, 0.3888, 0.5138)
Se (0.4779, 0.9243, 0.9962)
Se (0.5183, 0.5221, 0.4464)
Se (0.6112, 0.1250, 0.9862)
Se (0.6743, 0.7279, 0.4962)
Se (0.8219, 0.3257, 0.0536)
Se (0.8750, 0.8612, 0.4862)
Se (0.9281, 0.4817, 0.0038)

total moment: 0.18 μB per formula unit
MP2020-corrected energy: -81.67 eV/cell